Record 1
50
Lattice="-0.1724 -8.3187 6.7838 3.2954 -2.7644 -3.3062 14.1876 2.4158 3.3229" Properties=species:S:1:pos:R:3 comment="Al2Cr4O19 (PBE with a Hubbard U, relaxed)" dft_energy_ev_per_atom=-6.108 delta_e_f_ev_per_atom=-1.35 rho_g_cm3=2.345 pbc="T T T"
O 6.4863 -9.3127 5.2767
O 8.8903 -2.2465 -0.7361
O 4.4850 -4.7755 0.1216
O 8.4203 -6.4208 7.5366
O 12.8256 -3.8919 6.6789
O 6.4045 -4.9056 2.0520
O 11.4815 -1.9349 -0.1342
O 7.4989 -0.5079 0.9752
O 9.8117 -8.1594 5.8254
O 3.8243 -4.3921 2.6162
O 6.3979 -2.9474 0.3039
O 13.4863 -4.2752 4.1844
O 11.5254 -6.1440 3.8842
O 15.9458 -3.5397 3.2941
O 6.8807 -6.2562 4.3765
O 14.4488 -6.2404 8.2965
O 15.8480 -7.6016 6.2774
O 10.9127 -5.7199 6.4967
O 3.2675 -6.9279 3.4610
O 3.9151 -2.2870 1.0507
O 5.7852 -2.5233 2.9164
O 10.4298 -2.4111 2.4241
O 1.3647 -5.1276 3.5065
O 13.3955 -6.3803 5.7499
O 10.9061 -3.7617 4.7486
O 13.7432 -0.2341 0.5197
O 14.0431 -1.7394 3.3396
O 4.2548 -9.5550 3.4334
O 10.5831 -0.9643 4.7562
O 3.5674 -8.4332 6.2809
O 8.4842 -2.6809 4.1577
O 2.8617 -2.4270 -1.4959
O 1.4625 -1.0657 0.5231
O 13.0558 0.8877 3.3671
O 5.8291 -6.7324 6.9348
O 8.8264 -5.9865 2.6429
O 3.4320 -4.9385 5.3506
O 10.8243 0.6453 1.5239
Al 0.0000 0.0000 0.0000
Al 5.1351 -3.6494 1.5190
Al 12.1755 -5.0179 5.2815
Al 7.0938 1.2079 1.6615
Cr 7.3581 -1.6691 -0.2450
Cr 10.0771 -2.4805 3.9861
Cr 9.9524 -6.9982 7.0456
Cr 14.3123 -7.1985 6.9107
Cr 2.9484 -5.3755 3.7005
Cr 7.2334 -6.1869 2.8145
Cr 14.3622 -3.2918 3.1001
Cr 2.9983 -1.4688 -0.1101



Record 2
14
Lattice="-3.2092 -3.9711 -2.0459 1.9103 -2.6809 4.1252 -3.2950 5.0797 1.8703" Properties=species:S:1:pos:R:3 comment="AlCr2O4 (PBE with a Hubbard U, relaxed)" dft_energy_ev_per_atom=-7.328 e_above_lowest_polymorph_mev_per_atom=334.5 delta_e_f_ev_per_atom=-2.17 rho_g_cm3=4.325 pbc="T T T"
O -3.2239 -3.1411 -0.9807
O -1.3699 1.5688 4.9302
O -0.3624 -1.5780 1.9495
O -2.4414 -3.8191 1.6669
O -2.1949 -0.4532 0.0565
O -2.3990 -1.1191 3.8931
O -4.2314 0.0057 2.0000
O -2.1524 2.2468 2.2826
Al -5.4787 0.2005 0.4570
Al 0.8849 -1.7728 3.4925
Cr -0.6494 -3.3260 1.0396
Cr -1.6046 -1.9856 -1.0230
Cr -0.6923 1.1994 2.9977
Cr -2.2969 -0.7862 1.9748